Density functional theory data (GGA+U) for a relaxed Mn2Nb2O9 crystal.

Geometry as CIF:
```
data_Mn2Nb2O9
_space_group_name_H-M_alt 'P 63/m c m'
_space_group_IT_number 193
_space_group_name_Hall '-P 6c 2'
_cell_length_a 4.9634
_cell_length_b 4.9634
_cell_length_c 14.3422
_cell_angle_alpha 90.00
_cell_angle_beta 90.00
_cell_angle_gamma 120.00
loop_
_atom_site_label
_atom_site_fract_x
_atom_site_fract_y
_atom_site_fract_z
Mn1 0.3333 0.6667 0.0000
Nb1 0.0000 0.0000 0.1602
O1 0.0000 0.2934 0.2500
O2 0.0000 0.3488 0.5758
```

Computed properties:
* uncorrected energy: -102.88 eV/f.u.
* crystal system: hexagonal
* E (MP2020): -8.6459 eV per atom
* DFT formation energy: -2257 meV per atom

Density functional theory data (GGA+U) for a relaxed Li3FeF5 crystal.

Geometry as CIF:
```
data_Li3FeF5
_space_group_name_H-M_alt 'P n m a'
_space_group_IT_number 62
_space_group_name_Hall '-P 2ac 2n'
_cell_length_a 6.625
_cell_length_b 7.745
_cell_length_c 8.138
_cell_angle_alpha 90.00
_cell_angle_beta 90.00
_cell_angle_gamma 90.00
loop_
_atom_site_label
_atom_site_fract_x
_atom_site_fract_y
_atom_site_fract_z
Li1 0.014 0.072 0.229
Li2 0.210 0.750 0.527
Fe1 0.229 0.250 0.600
F1 0.009 0.750 0.952
F2 0.070 0.250 0.381
F3 0.090 0.750 0.309
F4 0.225 0.511 0.644
```

Computed properties:
* uncorrected energy: -45.49 eV/f.u.
* crystal system: orthorhombic
* E (MP2020): -5.5616 eV per atom
* energy above the lowest structure with this stoichiometry: 0 meV/atom
* DFT formation energy: -2921 meV per atom

Q: Look up the uncorrected energy of the first one.
A: -102.88 eV/f.u.

Q: Look up the DFT formation energy of the second one.
A: -2921 meV per atom

Q: Among the records above, which one has the lowest DFT formation energy?
A: Li3FeF5

Q: Look up the DFT formation energy of the first one.
A: -2257 meV per atom